P.
A plane-wave DFT calculation with PBE with a Hubbard U was carried out for a relaxed structure of LiFeF4.

abc: 7.031 7.031 7.146
angles: 103.86 103.86 83.18
Sites, in units of the cell vectors:
Li1 0.181 0.819 0.000
Li2 0.203 0.203 0.358
Li3 0.797 0.797 0.642
Li4 0.819 0.181 0.000
Fe1 0.247 0.753 0.500
Fe2 0.269 0.269 0.909
Fe3 0.731 0.731 0.091
Fe4 0.753 0.247 0.500
F1 0.112 0.807 0.704
F2 0.141 0.141 0.040
F3 0.193 0.888 0.296
F4 0.194 0.194 0.636
F5 0.202 0.532 0.974
F6 0.204 0.494 0.386
F7 0.468 0.798 0.026
F8 0.494 0.204 0.386
F9 0.506 0.796 0.614
F10 0.532 0.202 0.974
F11 0.796 0.506 0.614
F12 0.798 0.468 0.026
F13 0.806 0.806 0.364
F14 0.807 0.112 0.704
F15 0.859 0.859 0.960
F16 0.888 0.193 0.296

Q.
A plane-wave DFT calculation with PBE with a Hubbard U was carried out for a relaxed structure of LiFeF4.

abc: 7.823 7.823 7.823
angles: 98.47 98.47 134.87
Sites, in units of the cell vectors:
Li1 0.375 0.062 0.187
Li2 0.812 0.625 0.687
Li3 0.875 0.188 0.813
Li4 0.938 0.125 0.313
Fe1 0.339 0.625 0.214
Fe2 0.375 0.589 0.714
Fe3 0.411 0.125 0.786
Fe4 0.875 0.661 0.286
F1 0.013 0.271 0.606
F2 0.021 0.263 0.106
F3 0.084 0.979 0.242
F4 0.108 0.875 0.552
F5 0.125 0.676 0.233
F6 0.157 0.916 0.894
F7 0.307 0.574 0.948
F8 0.324 0.557 0.448
F9 0.426 0.375 0.733
F10 0.443 0.892 0.767
F11 0.593 0.987 0.258
F12 0.625 0.358 0.052
F13 0.642 0.693 0.267
F14 0.666 0.407 0.394
F15 0.729 0.334 0.742
F16 0.737 0.843 0.758

Relative energy of each structure, in meV/atom: P 28; Q 0.

P.
A plane-wave DFT calculation with PBE with a Hubbard U was carried out for a relaxed structure of LiFeF4.

abc: 5.597 5.597 5.475
angles: 119.04 119.04 31.93
Sites, in units of the cell vectors:
Li1 0.000 0.000 0.000
Fe1 0.500 0.500 0.500
F1 0.116 0.116 0.745
F2 0.410 0.410 0.723
F3 0.590 0.590 0.277
F4 0.884 0.884 0.255

Q.
A plane-wave DFT calculation with PBE with a Hubbard U was carried out for a relaxed structure of LiFeF4.

abc: 6.127 4.721 10.096
angles: 90.00 91.81 90.00
Sites, in units of the cell vectors:
Li1 0.000 0.226 0.000
Li2 0.000 0.774 0.500
Li3 0.476 0.249 0.451
Li4 0.476 0.751 0.951
Fe1 0.248 0.253 0.725
Fe2 0.248 0.747 0.225
Fe3 0.748 0.254 0.723
Fe4 0.748 0.746 0.223
F1 0.003 0.024 0.792
F2 0.003 0.976 0.292
F3 0.238 0.052 0.560
F4 0.238 0.948 0.060
F5 0.256 0.451 0.888
F6 0.256 0.549 0.388
F7 0.492 0.477 0.654
F8 0.492 0.523 0.154
F9 0.498 0.012 0.793
F10 0.498 0.988 0.293
F11 0.736 0.057 0.560
F12 0.736 0.943 0.060
F13 0.762 0.440 0.888
F14 0.762 0.560 0.388
F15 0.996 0.492 0.654
F16 0.996 0.508 0.154

R.
A plane-wave DFT calculation with PBE with a Hubbard U was carried out for a relaxed structure of LiFeF4.

abc: 6.396 6.396 5.468
angles: 91.60 91.60 48.28
Sites, in units of the cell vectors:
Li1 0.053 0.947 0.750
Li2 0.947 0.053 0.250
Fe1 0.000 0.500 0.000
Fe2 0.500 0.000 0.500
F1 0.065 0.756 0.024
F2 0.224 0.342 0.699
F3 0.244 0.935 0.476
F4 0.342 0.224 0.199
F5 0.658 0.776 0.801
F6 0.756 0.065 0.524
F7 0.776 0.658 0.301
F8 0.935 0.244 0.976

Relative energy of each structure, in meV/atom: P 70; Q 51; R 0.

P.
A plane-wave DFT calculation with PBE with a Hubbard U was carried out for a relaxed structure of Li9Mn7O16.

abc: 5.097 6.062 10.123
angles: 93.26 100.18 103.77
Sites, in units of the cell vectors:
Li1 0.000 0.000 0.000
Li2 0.488 0.876 0.120
Li3 0.494 0.123 0.374
Li4 0.497 0.375 0.624
Li5 0.498 0.626 0.878
Li6 0.502 0.374 0.122
Li7 0.503 0.625 0.376
Li8 0.506 0.877 0.626
Li9 0.512 0.124 0.880
Mn1 0.000 0.000 0.500
Mn2 0.000 0.500 0.000
Mn3 0.000 0.500 0.500
Mn4 0.003 0.251 0.246
Mn5 0.004 0.759 0.246
Mn6 0.996 0.241 0.754
Mn7 0.997 0.749 0.754
O1 0.214 0.776 0.936
O2 0.220 0.557 0.684
O3 0.226 0.321 0.931
O4 0.228 0.061 0.194
O5 0.230 0.822 0.431
O6 0.232 0.325 0.431
O7 0.234 0.073 0.683
O8 0.235 0.576 0.178
O9 0.765 0.424 0.822
O10 0.766 0.927 0.317
O11 0.768 0.675 0.569
O12 0.770 0.178 0.569
O13 0.772 0.939 0.806
O14 0.774 0.679 0.069
O15 0.780 0.443 0.316
O16 0.786 0.224 0.064

Q.
A plane-wave DFT calculation with PBE with a Hubbard U was carried out for a relaxed structure of Li9Mn7O16.

abc: 3.007 9.944 10.186
angles: 77.83 86.49 86.13
Sites, in units of the cell vectors:
Li1 0.000 0.000 0.000
Li2 0.003 0.752 0.375
Li3 0.012 0.758 0.880
Li4 0.489 0.758 0.112
Li5 0.494 0.745 0.625
Li6 0.506 0.255 0.375
Li7 0.511 0.242 0.888
Li8 0.988 0.242 0.120
Li9 0.997 0.248 0.625
Mn1 0.000 0.000 0.500
Mn2 0.001 0.498 0.750
Mn3 0.497 0.002 0.241
Mn4 0.500 0.500 0.000
Mn5 0.500 0.500 0.500
Mn6 0.503 0.998 0.759
Mn7 0.999 0.502 0.250
O1 0.027 0.892 0.197
O2 0.033 0.619 0.570
O3 0.033 0.894 0.690
O4 0.034 0.619 0.069
O5 0.464 0.382 0.680
O6 0.466 0.385 0.182
O7 0.471 0.886 0.434
O8 0.493 0.882 0.923
O9 0.507 0.118 0.077
O10 0.529 0.114 0.566
O11 0.534 0.615 0.818
O12 0.536 0.618 0.320
O13 0.966 0.381 0.931
O14 0.967 0.106 0.310
O15 0.967 0.381 0.430
O16 0.973 0.108 0.803

R.
A plane-wave DFT calculation with PBE with a Hubbard U was carried out for a relaxed structure of Li9Mn7O16.

abc: 5.277 11.476 5.338
angles: 90.00 113.52 90.00
Sites, in units of the cell vectors:
Li1 0.000 0.000 0.000
Li2 0.000 0.121 0.500
Li3 0.000 0.248 0.000
Li4 0.000 0.376 0.500
Li5 0.000 0.500 0.000
Li6 0.000 0.624 0.500
Li7 0.000 0.752 0.000
Li8 0.000 0.879 0.500
Li9 0.500 0.000 0.500
Mn1 0.500 0.123 0.000
Mn2 0.500 0.247 0.500
Mn3 0.500 0.374 0.000
Mn4 0.500 0.500 0.500
Mn5 0.500 0.626 0.000
Mn6 0.500 0.753 0.500
Mn7 0.500 0.877 0.000
O1 0.264 0.000 0.780
O2 0.265 0.247 0.774
O3 0.265 0.500 0.779
O4 0.265 0.753 0.774
O5 0.267 0.375 0.276
O6 0.267 0.625 0.276
O7 0.292 0.130 0.235
O8 0.292 0.870 0.235
O9 0.708 0.130 0.765
O10 0.708 0.870 0.765
O11 0.733 0.375 0.724
O12 0.733 0.625 0.724
O13 0.735 0.247 0.226
O14 0.735 0.500 0.221
O15 0.735 0.753 0.226
O16 0.736 0.000 0.220

Relative energy of each structure, in meV/atom: P 9; Q 17; R 0.

P.
A plane-wave DFT calculation with PBE with a Hubbard U was carried out for a relaxed structure of Li9Mn7O16.

abc: 11.329 11.329 9.789
angles: 108.51 108.51 14.60
Sites, in units of the cell vectors:
Li1 0.000 0.000 0.000
Li2 0.062 0.062 0.303
Li3 0.182 0.182 0.939
Li4 0.314 0.314 0.561
Li5 0.441 0.441 0.183
Li6 0.559 0.559 0.817
Li7 0.686 0.686 0.439
Li8 0.818 0.818 0.061
Li9 0.938 0.938 0.697
Mn1 0.126 0.126 0.630
Mn2 0.246 0.246 0.248
Mn3 0.383 0.383 0.876
Mn4 0.500 0.500 0.500
Mn5 0.617 0.617 0.124
Mn6 0.754 0.754 0.752
Mn7 0.874 0.874 0.370
O1 0.026 0.026 0.645
O2 0.096 0.096 0.983
O3 0.150 0.150 0.264
O4 0.225 0.225 0.610
O5 0.287 0.287 0.895
O6 0.346 0.346 0.226
O7 0.400 0.400 0.512
O8 0.459 0.459 0.847
O9 0.541 0.541 0.153
O10 0.600 0.600 0.488
O11 0.654 0.654 0.774
O12 0.713 0.713 0.105
O13 0.775 0.775 0.390
O14 0.850 0.850 0.736
O15 0.904 0.904 0.017
O16 0.974 0.974 0.355

Q.
A plane-wave DFT calculation with PBE with a Hubbard U was carried out for a relaxed structure of Li9Mn7O16.

abc: 10.154 10.154 5.339
angles: 96.30 96.30 32.84
Sites, in units of the cell vectors:
Li1 0.000 0.000 0.000
Li2 0.120 0.120 0.752
Li3 0.121 0.629 0.748
Li4 0.371 0.879 0.252
Li5 0.378 0.378 0.256
Li6 0.622 0.622 0.744
Li7 0.629 0.121 0.748
Li8 0.879 0.371 0.252
Li9 0.880 0.880 0.248
Mn1 0.000 0.500 0.000
Mn2 0.249 0.751 0.500
Mn3 0.250 0.250 0.500
Mn4 0.500 0.000 0.000
Mn5 0.500 0.500 0.000
Mn6 0.750 0.750 0.500
Mn7 0.751 0.249 0.500
O1 0.058 0.058 0.398
O2 0.058 0.558 0.395
O3 0.190 0.190 0.101
O4 0.208 0.689 0.162
O5 0.310 0.310 0.899
O6 0.311 0.792 0.838
O7 0.442 0.442 0.610
O8 0.442 0.942 0.605
O9 0.558 0.058 0.395
O10 0.558 0.558 0.390
O11 0.689 0.208 0.162
O12 0.690 0.690 0.101
O13 0.792 0.311 0.838
O14 0.810 0.810 0.899
O15 0.942 0.442 0.605
O16 0.942 0.942 0.602

Relative energy of each structure, in meV/atom: P 13; Q 0.